First-principles (GGA+U) data for crystalline Na2WO4 at its relaxed geometry, as listed in the Materials Project.

energy with MP2020 corrections = -7.277 eV per atom
ΔH_f (0 K) = -2220 meV per atom
volume = 199.86 Å³/cell
DFT total energy = -6.250 eV/atom

Structure (CIF):
```
data_Na2WO4
_space_group_name_H-M_alt 'P 1'
_space_group_IT_number 1
_cell_length_a 6.563
_cell_length_b 6.563
_cell_length_c 6.563
_cell_angle_alpha 60.00
_cell_angle_beta 60.00
_cell_angle_gamma 60.00
loop_
_space_group_symop_operation_xyz
'x,y,z'
loop_
_atom_site_label
_atom_site_type_symbol
_atom_site_fract_x
_atom_site_fract_y
_atom_site_fract_z
Na1 Na 0.000 0.000 0.000
Na2 Na 0.000 0.000 0.500
Na3 Na 0.000 0.500 0.000
Na4 Na 0.500 0.000 0.000
W1 W 0.375 0.375 0.375
W2 W 0.625 0.625 0.625
O1 O 0.262 0.262 0.262
O2 O 0.262 0.262 0.715
O3 O 0.262 0.715 0.262
O4 O 0.285 0.738 0.738
O5 O 0.715 0.262 0.262
O6 O 0.738 0.285 0.738
O7 O 0.738 0.738 0.285
O8 O 0.738 0.738 0.738
```

First-principles (GGA+U) data for crystalline Li3Fe4B4O12 at its relaxed geometry, as listed in the Materials Project.

energy with MP2020 corrections = -7.766 eV per atom
ΔH_f (0 K) = -2301 meV per atom
volume = 482.78 Å³/cell
DFT total energy = -7.015 eV/atom

Structure (CIF):
```
data_Li3Fe4B4O12
_space_group_name_H-M_alt 'P 1'
_space_group_IT_number 1
_cell_length_a 5.245
_cell_length_b 9.012
_cell_length_c 11.395
_cell_angle_alpha 67.33
_cell_angle_beta 77.23
_cell_angle_gamma 89.67
loop_
_space_group_symop_operation_xyz
'x,y,z'
loop_
_atom_site_label
_atom_site_type_symbol
_atom_site_fract_x
_atom_site_fract_y
_atom_site_fract_z
Li1 Li 0.000 0.000 0.000
Li2 Li 0.033 0.037 0.256
Li3 Li 0.263 0.239 0.512
Li4 Li 0.523 0.531 0.260
Li5 Li 0.764 0.738 0.508
Li6 Li 0.809 0.767 0.763
Fe1 Fe 0.030 0.346 0.977
Fe2 Fe 0.048 0.709 0.228
Fe3 Fe 0.279 0.924 0.477
Fe4 Fe 0.328 0.613 0.731
Fe5 Fe 0.518 0.823 0.985
Fe6 Fe 0.547 0.220 0.220
Fe7 Fe 0.766 0.427 0.478
Fe8 Fe 0.799 0.126 0.729
B1 B 0.027 0.677 0.971
B2 B 0.054 0.383 0.225
B3 B 0.273 0.591 0.472
B4 B 0.303 0.959 0.723
B5 B 0.528 0.171 0.973
B6 B 0.560 0.884 0.223
B7 B 0.767 0.087 0.478
B8 B 0.827 0.463 0.727
O1 O 0.029 0.619 0.441
O2 O 0.039 0.433 0.784
O3 O 0.128 0.786 0.012
O4 O 0.163 0.090 0.721
O5 O 0.180 0.558 0.948
O6 O 0.198 0.840 0.694
O7 O 0.263 0.175 0.981
O8 O 0.308 0.383 0.234
O9 O 0.386 0.693 0.515
O10 O 0.398 0.986 0.264
O11 O 0.399 0.461 0.459
O12 O 0.452 0.765 0.193
O13 O 0.523 0.115 0.448
O14 O 0.551 0.947 0.752
O15 O 0.660 0.266 0.015
O16 O 0.675 0.065 0.927
O17 O 0.714 0.607 0.704
O18 O 0.735 0.350 0.687
O19 O 0.781 0.685 0.950
O20 O 0.828 0.903 0.208
O21 O 0.877 0.190 0.525
O22 O 0.888 0.487 0.262
O23 O 0.900 0.964 0.458
O24 O 0.954 0.274 0.181
```

First-principles (GGA+U) data for crystalline Li9Mn2Co5O16 at its relaxed geometry, as listed in the Materials Project.

energy with MP2020 corrections = -6.520 eV per atom
ΔH_f (0 K) = -1826 meV per atom
volume = 288.22 Å³/cell
DFT total energy = -5.816 eV/atom

Structure (CIF):
```
data_Li9Mn2Co5O16
_space_group_name_H-M_alt 'P 1'
_space_group_IT_number 1
_cell_length_a 5.886
_cell_length_b 5.886
_cell_length_c 10.329
_cell_angle_alpha 107.35
_cell_angle_beta 107.35
_cell_angle_gamma 59.02
loop_
_space_group_symop_operation_xyz
'x,y,z'
loop_
_atom_site_label
_atom_site_type_symbol
_atom_site_fract_x
_atom_site_fract_y
_atom_site_fract_z
Li1 Li 0.000 0.000 0.000
Li2 Li 0.238 0.238 0.235
Li3 Li 0.244 0.753 0.759
Li4 Li 0.247 0.756 0.241
Li5 Li 0.253 0.253 0.761
Li6 Li 0.747 0.747 0.239
Li7 Li 0.753 0.244 0.759
Li8 Li 0.756 0.247 0.241
Li9 Li 0.762 0.762 0.765
Mn1 Mn 0.500 0.500 0.000
Mn2 Mn 0.500 0.500 0.500
Co1 Co 0.000 0.000 0.500
Co2 Co 0.000 0.500 0.000
Co3 Co 0.000 0.500 0.500
Co4 Co 0.500 0.000 0.000
Co5 Co 0.500 0.000 0.500
O1 O 0.140 0.140 0.384
O2 O 0.140 0.140 0.889
O3 O 0.140 0.629 0.388
O4 O 0.143 0.614 0.886
O5 O 0.371 0.860 0.612
O6 O 0.380 0.380 0.611
O7 O 0.382 0.382 0.116
O8 O 0.386 0.857 0.114
O9 O 0.614 0.143 0.886
O10 O 0.618 0.618 0.884
O11 O 0.620 0.620 0.389
O12 O 0.629 0.140 0.388
O13 O 0.857 0.386 0.114
O14 O 0.860 0.371 0.612
O15 O 0.860 0.860 0.111
O16 O 0.860 0.860 0.616
```